# SmEr3S6 r2SCAN optimized geometry
data_SmEr3S6
_chemical_formula_sum 'Sm2 Er6 S12'
_symmetry_space_group_name_H-M 'P 1 21/m 1'
_symmetry_Int_Tables_number 11
_cell_length_a 10.9627
_cell_length_b 3.9329
_cell_length_c 11.2263
_cell_angle_alpha 90.00
_cell_angle_beta 108.88
_cell_angle_gamma 90.00
loop_
_symmetry_equiv_pos_as_xyz
'x,y,z'
'-x,-y,-z'
'-x,y+1/2,-z'
'x,-y+1/2,z'
loop_
_atom_site_label
_atom_site_fract_x
_atom_site_fract_y
_atom_site_fract_z
Sm1 0.0475 0.2500 0.1938
Er1 0.1613 0.2500 0.5860
Er2 0.3193 0.7500 0.9978
Er3 0.4387 0.2500 0.3325
S1 0.0817 0.7500 0.4052
S2 0.1160 0.2500 0.9632
S3 0.1955 0.7500 0.7489
S4 0.2623 0.7500 0.2265
S5 0.3955 0.2500 0.5599
S6 0.4775 0.2500 0.1122
# Theoretical density   6.12 Mg/m³
# Calculated total energy   -407.21 eV for the cell shown
# Crystal system   monoclinic